Below is a relaxed Na3LaGe3P6O24 crystal, with properties calculated at the PBE level.

The structure in CIF format:
```
data_Na3LaGe3P6O24
_cell_length_a 8.6452
_cell_length_b 8.6570
_cell_length_c 21.9953
_cell_angle_alpha 90.25
_cell_angle_beta 90.02
_cell_angle_gamma 119.78
_space_group_name_H-M_alt 'P 1'
_space_group_IT_number 1
loop_
_space_group_symop_operation_xyz
'x,y,z'
loop_
_atom_site_label
_atom_site_type_symbol
_atom_site_fract_x
_atom_site_fract_y
_atom_site_fract_z
Na1 Na 0.0000 0.0000 0.0000
Na2 Na 0.0058 0.6795 0.9192
Na3 Na 0.0175 0.0134 0.5132
Na4 Na 0.0417 0.3420 0.0944
Na5 Na 0.3359 0.6644 0.6742
Na6 Na 0.3483 0.6752 0.1831
Na7 Na 0.6515 0.3055 0.8352
Na8 Na 0.6692 0.3051 0.3400
Na9 Na 0.7120 0.6713 0.4264
La1 La 0.0042 0.0126 0.8359
La2 La 0.0191 0.0139 0.3575
La3 La 0.3602 0.6882 0.0360
Ge1 Ge 0.0053 0.0010 0.6589
Ge2 Ge 0.0049 0.9929 0.1580
Ge3 Ge 0.3346 0.6657 0.3244
Ge4 Ge 0.3363 0.6672 0.5342
Ge5 Ge 0.3426 0.6677 0.8193
Ge6 Ge 0.6627 0.3261 0.9861
Ge7 Ge 0.6685 0.3255 0.4883
Ge8 Ge 0.6727 0.3385 0.1969
Ge9 Ge 0.6740 0.3367 0.6850
P1 P 0.0034 0.6858 0.7554
P2 P 0.0054 0.3140 0.2566
P3 P 0.0363 0.3699 0.9290
P4 P 0.0464 0.6420 0.4306
P5 P 0.3203 0.0027 0.2580
P6 P 0.3229 0.3133 0.7545
P7 P 0.3480 0.9680 0.9195
P8 P 0.3520 0.3936 0.4331
P9 P 0.3760 0.0459 0.5892
P10 P 0.3769 0.2967 0.0963
P11 P 0.6018 0.9526 0.4308
P12 P 0.6314 0.6504 0.9197
P13 P 0.6811 0.6340 0.5884
P14 P 0.6893 0.0057 0.7552
P15 P 0.6969 0.0707 0.1000
P16 P 0.6968 0.6917 0.2619
P17 P 0.9245 0.6237 0.0949
P18 P 0.9602 0.3264 0.5899
O1 O 0.0215 0.8051 0.4319
O2 O 0.0354 0.2137 0.2022
O3 O 0.0390 0.8380 0.7093
O4 O 0.1030 0.6283 0.1013
O5 O 0.1258 0.4319 0.9915
O6 O 0.1336 0.6283 0.3710
O7 O 0.1438 0.5025 0.8761
O8 O 0.1479 0.6458 0.4882
O9 O 0.1541 0.4879 0.5863
O10 O 0.1675 0.1961 0.7092
O11 O 0.1770 0.6747 0.7590
O12 O 0.1820 0.9771 0.2077
O13 O 0.1846 0.2138 0.4360
O14 O 0.1855 0.1297 0.0969
O15 O 0.1922 0.0339 0.6008
O16 O 0.1949 0.4783 0.2674
O17 O 0.2057 0.0198 0.9105
O18 O 0.2791 0.8387 0.9732
O19 O 0.2871 0.0733 0.3172
O20 O 0.2960 0.8134 0.2666
O21 O 0.2976 0.2272 0.8162
O22 O 0.3171 0.4900 0.7602
O23 O 0.3418 0.8509 0.5863
O24 O 0.3550 0.4610 0.1015
O25 O 0.3637 0.4984 0.4912
O26 O 0.3692 0.8723 0.8611
O27 O 0.3720 0.5014 0.3744
O28 O 0.4539 0.1577 0.5304
O29 O 0.4641 0.2898 0.0351
O30 O 0.4711 0.2777 0.1519
O31 O 0.4971 0.8646 0.3716
O32 O 0.5047 0.1380 0.6416
O33 O 0.5070 0.3524 0.7333
O34 O 0.5078 0.8514 0.4887
O35 O 0.5117 0.8249 0.7570
O36 O 0.5174 0.6407 0.8628
O37 O 0.5193 0.6676 0.5877
O38 O 0.5213 0.1315 0.2434
O39 O 0.5238 0.3744 0.4317
O40 O 0.5255 0.7077 0.2681
O41 O 0.5266 0.8990 0.1131
O42 O 0.5371 0.1308 0.9318
O43 O 0.5705 0.6941 0.9791
O44 O 0.6126 0.4591 0.9256
O45 O 0.6199 0.1405 0.4316
O46 O 0.6335 0.4922 0.2480
O47 O 0.6505 0.5044 0.6394
O48 O 0.6587 0.1595 0.7364
O49 O 0.7012 0.1569 0.0376
O50 O 0.7105 0.5563 0.5278
O51 O 0.7470 0.2088 0.1508
O52 O 0.7672 0.0592 0.8189
O53 O 0.7844 0.9649 0.4306
O54 O 0.7936 0.7324 0.3232
O55 O 0.8044 0.5331 0.1492
O56 O 0.8127 0.8305 0.2126
O57 O 0.8143 0.9739 0.7111
O58 O 0.8261 0.7942 0.9125
O59 O 0.8343 0.5398 0.0326
O60 O 0.8430 0.2919 0.5321
O61 O 0.8435 0.5039 0.7382
O62 O 0.8530 0.8171 0.6000
O63 O 0.8562 0.4705 0.4310
O64 O 0.8577 0.3801 0.9308
O65 O 0.8606 0.0399 0.0986
O66 O 0.8741 0.3634 0.6443
O67 O 0.8779 0.3900 0.2450
O68 O 0.9343 0.2001 0.3133
O69 O 0.9521 0.8152 0.0969
O70 O 0.9611 0.7264 0.8186
O71 O 0.9737 0.1554 0.6003
O72 O 0.9950 0.1809 0.9187
```

Results
volume	1428.80	Å³ per cell
final energy	-6.838	eV/atom
DFT formation energy	-2.580	eV/atom
mass density	3.471	g cm⁻³

Below is a relaxed ZnSn2O5 crystal, with properties calculated at the PBE level.

The structure in CIF format:
```
data_ZnSn2O5
_cell_length_a 3.5570
_cell_length_b 5.1791
_cell_length_c 12.9550
_cell_angle_alpha 92.88
_cell_angle_beta 94.02
_cell_angle_gamma 95.52
_space_group_name_H-M_alt 'P 1'
_space_group_IT_number 1
loop_
_space_group_symop_operation_xyz
'x,y,z'
loop_
_atom_site_label
_atom_site_type_symbol
_atom_site_fract_x
_atom_site_fract_y
_atom_site_fract_z
Zn1 Zn 0.0000 0.0000 0.0000
Zn2 Zn 0.2055 0.9437 0.5114
Sn1 Sn 0.3184 0.5471 0.1548
Sn2 Sn 0.3871 0.5251 0.8701
Sn3 Sn 0.8081 0.4180 0.6475
Sn4 Sn 0.8505 0.3943 0.3633
O1 O 0.2212 0.9000 0.1291
O2 O 0.2429 0.3709 0.0059
O3 O 0.3446 0.5720 0.7016
O4 O 0.3662 0.5595 0.3263
O5 O 0.5161 0.8922 0.9181
O6 O 0.6475 0.0530 0.6047
O7 O 0.8009 0.3788 0.1927
O8 O 0.8501 0.3721 0.8175
O9 O 0.8933 0.0362 0.3954
O10 O 0.9528 0.5726 0.5117
```

Results
volume	236.57	Å³ per cell
final energy	-5.579	eV/atom
DFT formation energy	-1.756	eV/atom
mass density	5.374	g cm⁻³
distance to the lowest polymorph of the same formula	209	meV per atom

Below is a relaxed CaMgB2O5 crystal, with properties calculated at the PBE level.

The structure in CIF format:
```
data_CaMgB2O5
_cell_length_a 11.2144
_cell_length_b 36.5017
_cell_length_c 5.5466
_cell_angle_alpha 90.00
_cell_angle_beta 90.00
_cell_angle_gamma 90.00
_space_group_name_H-M_alt 'P c a 21'
_space_group_IT_number 29
loop_
_space_group_symop_operation_xyz
'x,y,z'
'-x,-y,z+1/2'
'-x+1/2,y,z+1/2'
'x+1/2,-y,z'
loop_
_atom_site_label
_atom_site_type_symbol
_atom_site_fract_x
_atom_site_fract_y
_atom_site_fract_z
Ca1 Ca 0.1181 0.1129 0.0000
Ca2 Ca 0.1187 0.6150 0.1266
Ca3 Ca 0.1196 0.4466 0.4449
Ca4 Ca 0.1203 0.9479 0.6922
Ca5 Ca 0.1271 0.2778 0.2019
Ca6 Ca 0.1271 0.7809 0.9285
Mg1 Mg 0.1282 0.1695 0.4534
Mg2 Mg 0.1278 0.3360 0.6753
Mg3 Mg 0.1278 0.6721 0.6742
Mg4 Mg 0.1288 0.8391 0.4501
Mg5 Mg 0.1303 0.0044 0.2197
Mg6 Mg 0.1315 0.5041 0.9046
B1 B 0.1152 0.5267 0.4064
B2 B 0.1156 0.3565 0.1658
B3 B 0.1164 0.8593 0.9564
B4 B 0.1182 0.0256 0.7188
B5 B 0.1183 0.2446 0.6637
B6 B 0.1210 0.7475 0.4682
B7 B 0.1217 0.5809 0.6725
B8 B 0.1229 0.1902 0.9369
B9 B 0.1237 0.0798 0.4584
B10 B 0.1238 0.4118 0.9032
B11 B 0.1245 0.9144 0.2177
B12 B 0.1264 0.6930 0.1919
O1 O 0.0444 0.5087 0.2425
O2 O 0.0448 0.3390 0.3323
O3 O 0.0450 0.8419 0.7905
O4 O 0.0472 0.0073 0.8802
O5 O 0.0495 0.1680 0.8021
O6 O 0.0511 0.6711 0.3240
O7 O 0.0815 0.2250 0.4683
O8 O 0.0824 0.7281 0.6624
O9 O 0.0895 0.5612 0.8721
O10 O 0.0906 0.0604 0.2585
O11 O 0.0965 0.3930 0.6968
O12 O 0.0975 0.8959 0.4246
O13 O 0.1066 0.3949 0.1335
O14 O 0.1076 0.5652 0.4370
O15 O 0.1093 0.8976 0.9864
O16 O 0.1113 0.0642 0.6941
O17 O 0.1250 0.2288 0.8987
O18 O 0.1314 0.7316 0.2337
O19 O 0.1578 0.2798 0.6444
O20 O 0.1589 0.7830 0.4872
O21 O 0.1669 0.9492 0.2142
O22 O 0.1676 0.4468 0.9011
O23 O 0.1686 0.6154 0.6880
O24 O 0.1698 0.1142 0.4441
O25 O 0.1954 0.3369 0.0283
O26 O 0.1950 0.5076 0.5476
O27 O 0.1951 0.8400 0.0968
O28 O 0.1965 0.0073 0.5728
O29 O 0.1971 0.1757 0.1075
O30 O 0.1989 0.6782 0.0192
```

Results
volume	2270.49	Å³ per cell
final energy	-7.380	eV/atom
DFT formation energy	-3.128	eV/atom
mass density	2.914	g cm⁻³
distance to the lowest polymorph of the same formula	3	meV per atom